Record 1
## BaSrLaBiO6 (PBE)

Data for BaSrLaBiO6 after structural relaxation.

Unit cell a=8.8313 b=8.8313 c=8.8313 alpha=90.00 beta=90.00 gamma=90.00
Space group F-43m (No. 216)
Inequivalent atoms, fractional coordinates:
1 Ba 0.0000 0.0000 0.0000
2 Sr 0.2500 0.2500 0.7500
3 La 0.0000 0.0000 0.5000
4 Bi 0.2500 0.2500 0.2500
5 O 0.0127 0.2500 0.2500

Its energy above the most stable polymorph in this dataset is 2.99 eV per formula unit. For the energy relative to the elements, the calculation gives -2.49 eV/atom.


Record 2
## TlZn2Tc (PBE)

Data for TlZn2Tc after structural relaxation.

Unit cell a=6.4833 b=6.4833 c=6.4833 alpha=90.00 beta=90.00 gamma=90.00
Space group F-43m (No. 216)
Inequivalent atoms, fractional coordinates:
1 Tl 0.0000 0.0000 0.0000
2 Zn 0.0000 0.0000 0.5000
3 Zn 0.2500 0.2500 0.2500
4 Tc 0.2500 0.2500 0.7500

For the energy relative to the elements, the calculation gives 0.56 eV/atom.


Record 3
## V3Fe3C (PBE)

Data for V3Fe3C after structural relaxation.

Unit cell a=10.7200 b=10.7200 c=10.7200 alpha=90.00 beta=90.00 gamma=90.00
Space group Fd-3m (No. 227, origin choice 2)
Inequivalent atoms, fractional coordinates:
1 V 0.0692 0.3750 0.3750
2 Fe 0.0000 0.0000 0.5000
3 Fe 0.0452 0.0452 0.7048
4 C 0.0000 0.0000 0.0000

For the energy relative to the elements, the calculation gives -0.23 eV/atom.


Record 4
## YMg2 (PBE)

Data for YMg2 after structural relaxation.

Unit cell a=3.3382 b=3.3382 c=16.6038 alpha=90.00 beta=90.00 gamma=120.00
Space group P-3m1 (No. 164)
Inequivalent atoms, fractional coordinates:
1 Y 0.3333 0.6667 0.0894
2 Mg 0.3333 0.6667 0.4193
3 Mg 0.3333 0.6667 0.7400

For the energy relative to the elements, the calculation gives 0.04 eV/atom.


Record 5
## Al2P2H9NO11 (PBE)

Data for Al2P2H9NO11 after structural relaxation.

Unit cell a=9.6477 b=9.6642 c=11.9716 alpha=90.00 beta=127.80 gamma=90.00
Space group P2_1/c (No. 14)
Inequivalent atoms, fractional coordinates:
1 Al 0.0128 0.0360 0.1278
2 Al 0.2930 0.7307 0.1852
3 P 0.1594 0.6919 0.8646
4 P 0.3492 0.0355 0.1511
5 H 0.0392 0.2002 0.9802
6 H 0.0924 0.5402 0.1891
7 H 0.1652 0.0128 0.6034
8 H 0.1925 0.0856 0.4587
9 H 0.3115 0.1348 0.9132
10 H 0.3216 0.2221 0.3317
11 H 0.3493 0.1341 0.6139
12 H 0.4392 0.1389 0.8577
13 H 0.4981 0.2296 0.9988
14 N 0.3899 0.1948 0.9000
15 O 0.0155 0.6972 0.3046
16 O 0.0579 0.6348 0.5544
17 O 0.0698 0.5506 0.7923
18 O 0.1500 0.5692 0.1478
19 O 0.2200 0.1344 0.5422
20 O 0.2237 0.0244 0.9862
21 O 0.2447 0.0867 0.2032
22 O 0.2653 0.6770 0.0248
23 O 0.2909 0.7280 0.8353
24 O 0.4264 0.6109 0.7142
25 O 0.4984 0.1327 0.1945

For the energy relative to the elements, the calculation gives -2.02 eV/atom.


Record 6
## Pr7Ru3 (PBE)

Data for Pr7Ru3 after structural relaxation.

Unit cell a=7.4564 b=23.4982 c=6.7236 alpha=90.00 beta=90.00 gamma=90.00
Space group Pnma (No. 62)
Inequivalent atoms, fractional coordinates:
1 Pr 0.0447 0.1152 0.1464
2 Pr 0.1721 0.0228 0.6800
3 Pr 0.1764 0.7500 0.6379
4 Pr 0.1791 0.1745 0.6814
5 Ru 0.0257 0.7500 0.0322
6 Ru 0.1160 0.5956 0.4675

For the energy relative to the elements, the calculation gives -0.19 eV/atom.


Record 7
## HoLuCu2 (PBE)

Data for HoLuCu2 after structural relaxation.

Unit cell a=6.8422 b=6.8422 c=6.8422 alpha=90.00 beta=90.00 gamma=90.00
Space group Fm-3m (No. 225)
Inequivalent atoms, fractional coordinates:
1 Ho 0.0000 0.0000 0.0000
2 Lu 0.0000 0.0000 0.5000
3 Cu 0.2500 0.2500 0.2500

For the energy relative to the elements, the calculation gives -0.28 eV/atom.


Record 8
## K2ZrSi2O7 (PBE)

Data for K2ZrSi2O7 after structural relaxation.

Unit cell a=19.5411 b=11.2577 c=14.3315 alpha=90.00 beta=116.58 gamma=90.00
Space group C2/m (No. 12)
Inequivalent atoms, fractional coordinates:
1 K 0.1096 0.0000 0.0766
2 K 0.1112 0.5000 0.5787
3 K 0.1179 0.5000 0.1043
4 K 0.1214 0.0000 0.6108
5 K 0.1361 0.2537 0.9098
6 K 0.1374 0.2459 0.4185
7 Zr 0.0124 0.0000 0.7811
8 Zr 0.0115 0.5000 0.2816
9 Zr 0.2491 0.2471 0.2503
10 Si 0.0404 0.2612 0.1208
11 Si 0.0416 0.2387 0.6204
12 Si 0.1986 0.0000 0.3678
13 Si 0.1997 0.5000 0.8671
14 Si 0.2147 0.5000 0.3892
15 Si 0.2161 0.0000 0.8890
16 O 0.0000 0.1803 0.5000
17 O 0.0000 0.3192 0.0000
18 O 0.0011 0.3637 0.3797
19 O 0.0024 0.1362 0.8797
20 O 0.0282 0.3647 0.1926
21 O 0.0303 0.1358 0.6936
22 O 0.1056 0.0000 0.3015
23 O 0.1066 0.5000 0.8006
24 O 0.1305 0.2429 0.1497
25 O 0.1316 0.2564 0.6481
26 O 0.1323 0.5000 0.3926
27 O 0.1330 0.0000 0.8906
28 O 0.2118 0.0000 0.4911
29 O 0.2122 0.5000 0.9901
30 O 0.2277 0.3798 0.3363
31 O 0.2294 0.1198 0.8358
32 O 0.2377 0.1197 0.3502
33 O 0.2386 0.3804 0.8489

Its energy above the most stable polymorph in this dataset is 0.03 eV per formula unit. For the energy relative to the elements, the calculation gives -3.19 eV/atom.